Computed, not measured: crystalline Eu3Mg at its relaxed geometry at the PBE level of DFT.

The structure in POSCAR format:
```
Eu3Mg
1.0
3.765 -6.522 0.000
3.765 6.522 0.000
0.000 0.000 6.070
Eu Mg
6 2
Cartesian
1.927 1.113 1.517
3.765 4.296 1.517
5.603 1.113 1.517
1.927 -1.113 4.552
3.765 -4.296 4.552
5.603 -1.113 4.552
3.765 -2.174 1.517
3.765 2.174 4.552
```

Results
ρ (g/cm³): 5.35
E above lowest polymorph (meV/atom): 9.1
Energy relative to the elements (meV/atom): -20